## CaTiO3 (PBE)

Data for a geometry-optimized CaTiO3 structure.

a = 5.450 Å, b = 5.450 Å, c = 5.450 Å
α = 119.69°, β = 119.68°, γ = 90.55°
Fractional positions:
Ca  0.763  0.750  0.013
Ca  0.237  0.250  0.987
Ti  0.000  0.500  0.500
Ti  0.500  0.000  0.500
O  0.203  0.703  0.000
O  0.664  0.250  0.414
O  0.203  0.203  0.500
O  0.797  0.297  0.000
O  0.797  0.797  0.500
O  0.336  0.750  0.586

Summary:
E in eV per atom: -8.08